#1
The following is a GGA-PBE calculation of a relaxed structure of NaMg14BiO16, from Materials Project.

```
data_NaMg14BiO16
_cell_length_a 4.393
_cell_length_b 8.686
_cell_length_c 8.781
_cell_angle_alpha 90.00
_cell_angle_beta 90.00
_cell_angle_gamma 90.00
_space_group_name_H-M_alt 'P m m m'
_space_group_IT_number 47
loop_
_space_group_symop_operation_xyz
'x,y,z'
'-x,-y,-z'
'-x,-y,z'
'x,y,-z'
'x,-y,-z'
'-x,y,z'
'-x,y,-z'
'x,-y,z'
loop_
_atom_site_label
_atom_site_type_symbol
_atom_site_fract_x
_atom_site_fract_y
_atom_site_fract_z
_atom_site_occupancy
Na1 Na 0.000 0.000 0.000 1
Mg1 Mg 0.000 0.256 0.238 1
Mg2 Mg 0.000 0.500 0.000 1
Mg3 Mg 0.000 0.500 0.500 1
Mg4 Mg 0.500 0.000 0.229 1
Mg5 Mg 0.500 0.249 0.000 1
Mg6 Mg 0.500 0.264 0.500 1
Mg7 Mg 0.500 0.500 0.246 1
Bi1 Bi 0.000 0.000 0.500 1
O1 O 0.000 0.000 0.243 1
O2 O 0.000 0.267 0.000 1
O3 O 0.000 0.268 0.500 1
O4 O 0.000 0.500 0.251 1
O5 O 0.500 0.000 0.000 1
O6 O 0.500 0.000 0.500 1
O7 O 0.500 0.250 0.251 1
O8 O 0.500 0.500 0.000 1
O9 O 0.500 0.500 0.500 1
```

***

#2
The following is a GGA-PBE calculation of a relaxed structure of NaMg14BiO16, from Materials Project.

```
data_NaMg14BiO16
_cell_length_a 8.721
_cell_length_b 8.721
_cell_length_c 4.405
_cell_angle_alpha 90.00
_cell_angle_beta 90.00
_cell_angle_gamma 90.00
_space_group_name_H-M_alt 'P 4/m m m'
_space_group_IT_number 123
_space_group_name_Hall '-P 4 2'
loop_
_atom_site_label
_atom_site_type_symbol
_atom_site_fract_x
_atom_site_fract_y
_atom_site_fract_z
_atom_site_occupancy
Na1 Na 0.000 0.000 0.000 1
Mg1 Mg 0.000 0.244 0.500 1
Mg2 Mg 0.000 0.500 0.000 1
Mg3 Mg 0.233 0.500 0.500 1
Mg4 Mg 0.238 0.238 0.000 1
Bi1 Bi 0.500 0.500 0.000 1
O1 O 0.000 0.000 0.500 1
O2 O 0.000 0.263 0.000 1
O3 O 0.000 0.500 0.500 1
O4 O 0.235 0.500 0.000 1
O5 O 0.252 0.252 0.500 1
O6 O 0.500 0.500 0.500 1
```

***

Q: Which of them is the least stable? A: #1.

***

#1
The following is a GGA-PBE calculation of a relaxed structure of Na3MgBiO4, from Materials Project.

```
data_Na3MgBiO4
_cell_length_a 3.348
_cell_length_b 6.556
_cell_length_c 11.717
_cell_angle_alpha 90.00
_cell_angle_beta 90.00
_cell_angle_gamma 90.00
_space_group_name_H-M_alt 'A m m 2'
_space_group_IT_number 38
loop_
_space_group_symop_operation_xyz
'x,y,z'
'-x,-y,z'
'-x,y,z'
'x,-y,z'
'x,y+1/2,z+1/2'
'-x,-y+1/2,z+1/2'
'-x,y+1/2,z+1/2'
'x,-y+1/2,z+1/2'
loop_
_atom_site_label
_atom_site_type_symbol
_atom_site_fract_x
_atom_site_fract_y
_atom_site_fract_z
_atom_site_occupancy
Na1 Na 0.000 0.000 0.000 1
Na2 Na 0.500 0.246 0.360 1
Mg1 Mg 0.500 0.000 0.182 1
Bi1 Bi 0.000 0.000 0.623 1
O1 O 0.000 0.000 0.275 1
O2 O 0.000 0.000 0.807 1
O3 O 0.500 0.239 0.073 1
```

***

#2
The following is a GGA-PBE calculation of a relaxed structure of Na3MgBiO4, from Materials Project.

```
data_Na3MgBiO4
_cell_length_a 6.240
_cell_length_b 3.512
_cell_length_c 6.839
_cell_angle_alpha 90.00
_cell_angle_beta 92.37
_cell_angle_gamma 90.00
_space_group_name_H-M_alt 'P 1 m 1'
_space_group_IT_number 6
loop_
_space_group_symop_operation_xyz
'x,y,z'
'x,-y,z'
loop_
_atom_site_label
_atom_site_type_symbol
_atom_site_fract_x
_atom_site_fract_y
_atom_site_fract_z
_atom_site_occupancy
Na1 Na 0.000 0.000 0.000 1
Na2 Na 0.160 0.500 0.396 1
Na3 Na 0.476 0.000 0.192 1
Mg1 Mg 0.727 0.000 0.570 1
Bi1 Bi 0.425 0.500 0.787 1
O1 O 0.243 0.500 0.060 1
O2 O 0.393 0.000 0.527 1
O3 O 0.657 0.000 0.877 1
O4 O 0.825 0.500 0.497 1
```

***

Q: Which of them is the least stable? A: #2.

***

#1
The following is a GGA-PBE calculation of a relaxed structure of NaMg6BiO8, from Materials Project.

```
data_NaMg6BiO8
_cell_length_a 4.471
_cell_length_b 4.471
_cell_length_c 8.906
_cell_angle_alpha 90.00
_cell_angle_beta 90.00
_cell_angle_gamma 90.00
_space_group_name_H-M_alt 'P 4/m m m'
_space_group_IT_number 123
_space_group_name_Hall '-P 4 2'
loop_
_atom_site_label
_atom_site_type_symbol
_atom_site_fract_x
_atom_site_fract_y
_atom_site_fract_z
_atom_site_occupancy
Na1 Na 0.000 0.000 0.000 1
Mg1 Mg 0.000 0.000 0.500 1
Mg2 Mg 0.000 0.500 0.266 1
Mg3 Mg 0.500 0.500 0.500 1
Bi1 Bi 0.500 0.500 0.000 1
O1 O 0.000 0.000 0.270 1
O2 O 0.000 0.500 0.000 1
O3 O 0.000 0.500 0.500 1
O4 O 0.500 0.500 0.270 1
```

***

#2
The following is a GGA-PBE calculation of a relaxed structure of NaMg6BiO8, from Materials Project.

```
data_NaMg6BiO8
_cell_length_a 4.485
_cell_length_b 4.485
_cell_length_c 9.006
_cell_angle_alpha 90.00
_cell_angle_beta 90.00
_cell_angle_gamma 90.00
_space_group_name_H-M_alt 'P 4/m m m'
_space_group_IT_number 123
_space_group_name_Hall '-P 4 2'
loop_
_atom_site_label
_atom_site_type_symbol
_atom_site_fract_x
_atom_site_fract_y
_atom_site_fract_z
_atom_site_occupancy
Na1 Na 0.000 0.000 0.000 1
Mg1 Mg 0.000 0.500 0.225 1
Mg2 Mg 0.500 0.500 0.000 1
Mg3 Mg 0.500 0.500 0.500 1
Bi1 Bi 0.000 0.000 0.500 1
O1 O 0.000 0.000 0.245 1
O2 O 0.000 0.500 0.000 1
O3 O 0.000 0.500 0.500 1
O4 O 0.500 0.500 0.252 1
```

***

Q: Which of them is the least stable? A: #2.

***

#1
The following is a GGA-PBE calculation of a relaxed structure of Mg14NbBi, from Materials Project.

```
data_Mg14NbBi
_cell_length_a 10.315
_cell_length_b 6.320
_cell_length_c 11.066
_cell_angle_alpha 90.00
_cell_angle_beta 90.00
_cell_angle_gamma 90.00
_space_group_name_H-M_alt 'A m m 2'
_space_group_IT_number 38
loop_
_space_group_symop_operation_xyz
'x,y,z'
'-x,-y,z'
'-x,y,z'
'x,-y,z'
'x,y+1/2,z+1/2'
'-x,-y+1/2,z+1/2'
'-x,y+1/2,z+1/2'
'x,-y+1/2,z+1/2'
loop_
_atom_site_label
_atom_site_type_symbol
_atom_site_fract_x
_atom_site_fract_y
_atom_site_fract_z
_atom_site_occupancy
Mg1 Mg 0.000 0.000 0.000 1
Mg2 Mg 0.000 0.000 0.499 1
Mg3 Mg 0.000 0.249 0.250 1
Mg4 Mg 0.245 0.000 0.669 1
Mg5 Mg 0.250 0.243 0.917 1
Mg6 Mg 0.253 0.000 0.163 1
Mg7 Mg 0.500 0.249 0.249 1
Nb1 Nb 0.500 0.000 0.997 1
Bi1 Bi 0.500 0.000 0.503 1
```

***

#2
The following is a GGA-PBE calculation of a relaxed structure of Mg14NbBi, from Materials Project.

```
data_Mg14NbBi
_cell_length_a 6.3648
_cell_length_b 6.3648
_cell_length_c 10.3274
_cell_angle_alpha 90.00
_cell_angle_beta 90.00
_cell_angle_gamma 120.00
_space_group_name_H-M_alt 'P -6 m 2'
_space_group_IT_number 187
_space_group_name_Hall 'P -6 2'
loop_
_atom_site_label
_atom_site_type_symbol
_atom_site_fract_x
_atom_site_fract_y
_atom_site_fract_z
_atom_site_occupancy
Mg1 Mg 0.0000 0.0000 0.2463 1
Mg2 Mg 0.0062 0.5031 0.2398 1
Mg3 Mg 0.3319 0.1659 0.5000 1
Mg4 Mg 0.3345 0.1672 0.0000 1
Nb1 Nb 0.3333 0.6667 0.0000 1
Bi1 Bi 0.3333 0.6667 0.5000 1
```

***

Q: Which of them is the least stable? A: #1.

***

#1
The following is a GGA-PBE calculation of a relaxed structure of MgBi2O5, from Materials Project.

```
data_MgBi2O5
_cell_length_a 5.514
_cell_length_b 11.880
_cell_length_c 8.690
_cell_angle_alpha 90.00
_cell_angle_beta 112.18
_cell_angle_gamma 90.00
_space_group_name_H-M_alt 'P 1 21/c 1'
_space_group_IT_number 14
loop_
_space_group_symop_operation_xyz
'x,y,z'
'-x,-y,-z'
'-x,y+1/2,-z+1/2'
'x,-y+1/2,z+1/2'
loop_
_atom_site_label
_atom_site_type_symbol
_atom_site_fract_x
_atom_site_fract_y
_atom_site_fract_z
_atom_site_occupancy
Mg1 Mg 0.052 0.082 0.163 1
Bi1 Bi 0.333 0.625 0.043 1
Bi2 Bi 0.445 0.103 0.850 1
O1 O 0.160 0.542 0.182 1
O2 O 0.197 0.711 0.476 1
O3 O 0.251 0.023 0.012 1
O4 O 0.315 0.193 0.314 1
O5 O 0.339 0.544 0.833 1
```

***

#2
The following is a GGA-PBE calculation of a relaxed structure of MgBi2O5, from Materials Project.

```
data_MgBi2O5
_cell_length_a 3.676
_cell_length_b 5.179
_cell_length_c 12.841
_cell_angle_alpha 90.50
_cell_angle_beta 90.14
_cell_angle_gamma 90.40
_space_group_name_H-M_alt 'P 1'
_space_group_IT_number 1
loop_
_space_group_symop_operation_xyz
'x,y,z'
loop_
_atom_site_label
_atom_site_type_symbol
_atom_site_fract_x
_atom_site_fract_y
_atom_site_fract_z
_atom_site_occupancy
Mg1 Mg 0.000 0.000 0.000 1
Mg2 Mg 0.497 0.614 0.494 1
Bi1 Bi 0.500 0.515 0.164 1
Bi2 Bi 0.504 0.449 0.880 1
Bi3 Bi 0.981 0.106 0.658 1
Bi4 Bi 0.985 0.155 0.378 1
O1 O 0.001 0.246 0.872 1
O2 O 0.487 0.357 0.371 1
O3 O 0.487 0.943 0.572 1
O4 O 0.498 0.245 0.030 1
O5 O 0.499 0.400 0.717 1
O6 O 0.509 0.834 0.911 1
O7 O 0.985 0.214 0.217 1
O8 O 0.988 0.768 0.402 1
O9 O 0.990 0.377 0.528 1
O10 O 0.995 0.683 0.083 1
```

***

#3
The following is a GGA-PBE calculation of a relaxed structure of MgBi2O5, from Materials Project.

```
data_MgBi2O5
_cell_length_a 4.311
_cell_length_b 10.959
_cell_length_c 10.961
_cell_angle_alpha 90.00
_cell_angle_beta 90.00
_cell_angle_gamma 90.00
_space_group_name_H-M_alt 'C m c m'
_space_group_IT_number 63
_space_group_name_Hall '-C 2c 2'
loop_
_atom_site_label
_atom_site_type_symbol
_atom_site_fract_x
_atom_site_fract_y
_atom_site_fract_z
_atom_site_occupancy
Mg1 Mg 0.000 0.186 0.250 1
Bi1 Bi 0.000 0.139 0.570 1
O1 O 0.000 0.055 0.115 1
O2 O 0.000 0.242 0.750 1
O3 O 0.000 0.305 0.081 1
```

***

Q: Which of them is the least stable? A: #2.

***

#1
The following is a GGA-PBE calculation of a relaxed structure of MgBi4P8O28, from Materials Project.

```
data_MgBi4P8O28
_cell_length_a 5.248
_cell_length_b 9.236
_cell_length_c 13.603
_cell_angle_alpha 76.15
_cell_angle_beta 89.70
_cell_angle_gamma 89.86
_space_group_name_H-M_alt 'P 1'
_space_group_IT_number 1
loop_
_space_group_symop_operation_xyz
'x,y,z'
loop_
_atom_site_label
_atom_site_type_symbol
_atom_site_fract_x
_atom_site_fract_y
_atom_site_fract_z
_atom_site_occupancy
Mg1 Mg 0.000 0.000 0.000 1
Bi1 Bi 0.007 0.085 0.731 1
Bi2 Bi 0.465 0.558 0.797 1
Bi3 Bi 0.495 0.081 0.306 1
Bi4 Bi 0.970 0.605 0.246 1
P1 P 0.488 0.405 0.397 1
P2 P 0.488 0.853 0.124 1
P3 P 0.493 0.883 0.898 1
P4 P 0.501 0.309 0.624 1
P5 P 0.948 0.326 0.929 1
P6 P 0.970 0.274 0.160 1
P7 P 0.983 0.765 0.647 1
P8 P 0.986 0.850 0.419 1
O1 O 0.016 0.191 0.886 1
O2 O 0.077 0.429 0.150 1
O3 O 0.115 0.143 0.227 1
O4 O 0.123 0.459 0.902 1
O5 O 0.199 0.873 0.112 1
O6 O 0.205 0.909 0.903 1
O7 O 0.260 0.752 0.685 1
O8 O 0.272 0.888 0.402 1
O9 O 0.302 0.527 0.349 1
O10 O 0.341 0.173 0.622 1
O11 O 0.381 0.397 0.696 1
O12 O 0.397 0.246 0.398 1
O13 O 0.499 0.419 0.513 1
O14 O 0.565 0.723 0.898 1
O15 O 0.569 0.692 0.163 1
O16 O 0.616 0.964 0.176 1
O17 O 0.617 0.912 0.007 1
O18 O 0.624 0.004 0.820 1
O19 O 0.667 0.370 0.915 1
O20 O 0.686 0.268 0.191 1
O21 O 0.761 0.431 0.355 1
O22 O 0.786 0.274 0.646 1
O23 O 0.823 0.991 0.415 1
O24 O 0.828 0.632 0.707 1
O25 O 0.876 0.920 0.644 1
O26 O 0.877 0.755 0.353 1
O27 O 0.975 0.745 0.533 1
O28 O 0.983 0.234 0.049 1
```

***

#2
The following is a GGA-PBE calculation of a relaxed structure of MgBi4P8O28, from Materials Project.

```
data_MgBi4P8O28
_cell_length_a 5.245
_cell_length_b 9.012
_cell_length_c 13.484
_cell_angle_alpha 77.55
_cell_angle_beta 89.03
_cell_angle_gamma 87.53
_space_group_name_H-M_alt 'P 1'
_space_group_IT_number 1
loop_
_space_group_symop_operation_xyz
'x,y,z'
loop_
_atom_site_label
_atom_site_type_symbol
_atom_site_fract_x
_atom_site_fract_y
_atom_site_fract_z
_atom_site_occupancy
Mg1 Mg 0.000 0.000 0.000 1
Bi1 Bi 0.505 0.332 0.311 1
Bi2 Bi 0.543 0.835 0.810 1
Bi3 Bi 0.960 0.853 0.271 1
Bi4 Bi 0.980 0.394 0.761 1
P1 P 0.002 0.521 0.164 1
P2 P 0.007 0.128 0.440 1
P3 P 0.012 0.056 0.672 1
P4 P 0.027 0.661 0.943 1
P5 P 0.448 0.663 0.402 1
P6 P 0.468 0.082 0.129 1
P7 P 0.482 0.591 0.631 1
P8 P 0.485 0.189 0.915 1
O1 O 0.060 0.042 0.555 1
O2 O 0.070 0.013 0.376 1
O3 O 0.106 0.212 0.679 1
O4 O 0.161 0.661 0.385 1
O5 O 0.165 0.920 0.733 1
O6 O 0.172 0.270 0.414 1
O7 O 0.201 0.552 0.648 1
O8 O 0.244 0.978 0.125 1
O9 O 0.289 0.502 0.192 1
O10 O 0.315 0.665 0.925 1
O11 O 0.335 0.047 0.913 1
O12 O 0.387 0.334 0.844 1
O13 O 0.436 0.220 0.031 1
O14 O 0.444 0.148 0.224 1
O15 O 0.502 0.684 0.514 1
O16 O 0.564 0.803 0.333 1
O17 O 0.569 0.708 0.688 1
O18 O 0.590 0.513 0.392 1
O19 O 0.666 0.452 0.643 1
O20 O 0.721 0.181 0.438 1
O21 O 0.727 0.039 0.695 1
O22 O 0.730 0.004 0.119 1
O23 O 0.776 0.162 0.905 1
O24 O 0.864 0.375 0.214 1
O25 O 0.877 0.610 0.860 1
O26 O 0.881 0.667 0.184 1
O27 O 0.904 0.811 0.960 1
O28 O 0.987 0.527 0.044 1
```

***

Q: Which of them is the least stable? A: #1.